Crystalline Na7Ca3Ta7Ti3O30 at its relaxed geometry. Source: the Materials Project, functional PBE.

a = 5.494 Å, b = 5.577 Å, c = 38.990 Å
α = 90.09°, β = 90.05°, γ = 90.19°
Space group P1 (No. 1)
Asymmetric unit:
Na (0.000, 0.000, 0.000) (multiplicity 1)
Na (0.000, 0.000, 0.200) (multiplicity 1)
Na (0.000, 0.999, 0.400) (multiplicity 1)
Na (0.003, 0.010, 0.797) (multiplicity 1)
Na (0.495, 0.453, 0.697) (multiplicity 1)
Na (0.499, 0.450, 0.095) (multiplicity 1)
Na (0.499, 0.450, 0.296) (multiplicity 1)
Na (0.500, 0.449, 0.496) (multiplicity 1)
Na (0.506, 0.454, 0.896) (multiplicity 1)
Na (0.515, 0.501, 0.601) (multiplicity 1)
Na (0.518, 0.499, 0.000) (multiplicity 1)
Na (0.519, 0.499, 0.200) (multiplicity 1)
Na (0.520, 0.498, 0.401) (multiplicity 1)
Na (0.996, 0.002, 0.601) (multiplicity 1)
Ca (0.018, 0.931, 0.095) (multiplicity 1)
Ca (0.018, 0.931, 0.296) (multiplicity 1)
Ca (0.018, 0.931, 0.697) (multiplicity 1)
Ca (0.019, 0.930, 0.496) (multiplicity 1)
Ca (0.023, 0.927, 0.896) (multiplicity 1)
Ca (0.529, 0.518, 0.798) (multiplicity 1)
Ta (0.009, 0.473, 0.148) (multiplicity 1)
Ta (0.009, 0.473, 0.349) (multiplicity 1)
Ta (0.009, 0.473, 0.549) (multiplicity 1)
Ta (0.010, 0.471, 0.948) (multiplicity 1)
Ta (0.503, 0.973, 0.648) (multiplicity 1)
Ta (0.511, 0.971, 0.048) (multiplicity 1)
Ta (0.511, 0.971, 0.247) (multiplicity 1)
Ta (0.511, 0.971, 0.448) (multiplicity 1)
Ta (0.511, 0.977, 0.548) (multiplicity 1)
Ta (0.511, 0.978, 0.148) (multiplicity 1)
Ta (0.511, 0.978, 0.348) (multiplicity 1)
Ta (0.513, 0.976, 0.949) (multiplicity 1)
Ta (0.514, 0.983, 0.748) (multiplicity 1)
Ta (0.517, 0.984, 0.848) (multiplicity 1)
Ti (0.006, 0.462, 0.248) (multiplicity 1)
Ti (0.007, 0.461, 0.448) (multiplicity 1)
Ti (0.007, 0.462, 0.047) (multiplicity 1)
Ti (0.015, 0.472, 0.745) (multiplicity 1)
Ti (0.024, 0.472, 0.845) (multiplicity 1)
Ti (0.998, 0.468, 0.648) (multiplicity 1)
O (0.081, 0.470, 0.598) (multiplicity 1)
O (0.082, 0.469, 0.998) (multiplicity 1)
O (0.082, 0.470, 0.198) (multiplicity 1)
O (0.083, 0.469, 0.398) (multiplicity 1)
O (0.093, 0.465, 0.799) (multiplicity 1)
O (0.218, 0.193, 0.740) (multiplicity 1)
O (0.221, 0.193, 0.539) (multiplicity 1)
O (0.221, 0.194, 0.339) (multiplicity 1)
O (0.221, 0.194, 0.856) (multiplicity 1)
O (0.222, 0.194, 0.139) (multiplicity 1)
O (0.223, 0.192, 0.939) (multiplicity 1)
O (0.226, 0.200, 0.657) (multiplicity 1)
O (0.226, 0.202, 0.056) (multiplicity 1)
O (0.226, 0.202, 0.256) (multiplicity 1)
O (0.228, 0.202, 0.457) (multiplicity 1)
O (0.280, 0.702, 0.740) (multiplicity 1)
O (0.280, 0.709, 0.657) (multiplicity 1)
O (0.281, 0.712, 0.056) (multiplicity 1)
O (0.281, 0.712, 0.257) (multiplicity 1)
O (0.282, 0.711, 0.457) (multiplicity 1)
O (0.285, 0.706, 0.339) (multiplicity 1)
O (0.286, 0.704, 0.539) (multiplicity 1)
O (0.286, 0.706, 0.139) (multiplicity 1)
O (0.287, 0.703, 0.856) (multiplicity 1)
O (0.288, 0.705, 0.939) (multiplicity 1)
O (0.432, 0.960, 0.798) (multiplicity 1)
O (0.434, 0.964, 0.598) (multiplicity 1)
O (0.434, 0.967, 0.998) (multiplicity 1)
O (0.434, 0.968, 0.198) (multiplicity 1)
O (0.435, 0.968, 0.398) (multiplicity 1)
O (0.590, 0.997, 0.698) (multiplicity 1)
O (0.590, 0.999, 0.098) (multiplicity 1)
O (0.590, 0.999, 0.298) (multiplicity 1)
O (0.591, 0.998, 0.499) (multiplicity 1)
O (0.594, 0.996, 0.898) (multiplicity 1)
O (0.720, 0.268, 0.839) (multiplicity 1)
O (0.721, 0.263, 0.757) (multiplicity 1)
O (0.721, 0.264, 0.557) (multiplicity 1)
O (0.722, 0.264, 0.956) (multiplicity 1)
O (0.723, 0.264, 0.156) (multiplicity 1)
O (0.723, 0.264, 0.356) (multiplicity 1)
O (0.732, 0.257, 0.641) (multiplicity 1)
O (0.732, 0.260, 0.041) (multiplicity 1)
O (0.732, 0.260, 0.241) (multiplicity 1)
O (0.734, 0.259, 0.441) (multiplicity 1)
O (0.781, 0.755, 0.756) (multiplicity 1)
O (0.787, 0.758, 0.643) (multiplicity 1)
O (0.787, 0.760, 0.840) (multiplicity 1)
O (0.789, 0.762, 0.042) (multiplicity 1)
O (0.789, 0.762, 0.242) (multiplicity 1)
O (0.790, 0.762, 0.442) (multiplicity 1)
O (0.792, 0.766, 0.155) (multiplicity 1)
O (0.792, 0.766, 0.355) (multiplicity 1)
O (0.794, 0.766, 0.555) (multiplicity 1)
O (0.794, 0.766, 0.955) (multiplicity 1)
O (0.936, 0.493, 0.699) (multiplicity 1)
O (0.936, 0.496, 0.098) (multiplicity 1)
O (0.936, 0.496, 0.298) (multiplicity 1)
O (0.937, 0.496, 0.498) (multiplicity 1)
O (0.938, 0.499, 0.898) (multiplicity 1)

Summary:
Energy relative to the elements (eV/atom): -3.2027

=====

Crystalline Na4CaTa4TiO15 at its relaxed geometry. Source: the Materials Project, functional PBE.

a = 5.504 Å, b = 5.578 Å, c = 39.071 Å
α = 90.13°, β = 90.05°, γ = 90.20°
Space group P1 (No. 1)
Asymmetric unit:
Na (0.000, 0.000, 0.000) (multiplicity 1)
Na (0.000, 0.002, 0.201) (multiplicity 1)
Na (0.003, 0.991, 0.804) (multiplicity 1)
Na (0.003, 0.995, 0.403) (multiplicity 1)
Na (0.016, 0.039, 0.509) (multiplicity 1)
Na (0.017, 0.043, 0.702) (multiplicity 1)
Na (0.019, 0.047, 0.106) (multiplicity 1)
Na (0.023, 0.036, 0.908) (multiplicity 1)
Na (0.498, 0.544, 0.701) (multiplicity 1)
Na (0.500, 0.544, 0.508) (multiplicity 1)
Na (0.500, 0.552, 0.305) (multiplicity 1)
Na (0.505, 0.540, 0.909) (multiplicity 1)
Na (0.518, 0.497, 0.201) (multiplicity 1)
Na (0.518, 0.499, 0.600) (multiplicity 1)
Na (0.520, 0.495, 0.000) (multiplicity 1)
Na (0.991, 0.003, 0.601) (multiplicity 1)
Ca (0.019, 0.058, 0.305) (multiplicity 1)
Ca (0.500, 0.565, 0.106) (multiplicity 1)
Ca (0.518, 0.477, 0.804) (multiplicity 1)
Ca (0.520, 0.473, 0.403) (multiplicity 1)
Ta (0.000, 0.526, 0.555) (multiplicity 1)
Ta (0.006, 0.528, 0.154) (multiplicity 1)
Ta (0.007, 0.523, 0.053) (multiplicity 1)
Ta (0.007, 0.525, 0.253) (multiplicity 1)
Ta (0.008, 0.521, 0.653) (multiplicity 1)
Ta (0.010, 0.518, 0.753) (multiplicity 1)
Ta (0.011, 0.517, 0.455) (multiplicity 1)
Ta (0.013, 0.518, 0.855) (multiplicity 1)
Ta (0.015, 0.525, 0.354) (multiplicity 1)
Ta (0.020, 0.515, 0.954) (multiplicity 1)
Ta (0.503, 0.022, 0.652) (multiplicity 1)
Ta (0.508, 0.021, 0.253) (multiplicity 1)
Ta (0.508, 0.026, 0.053) (multiplicity 1)
Ta (0.510, 0.014, 0.753) (multiplicity 1)
Ta (0.512, 0.013, 0.455) (multiplicity 1)
Ta (0.513, 0.014, 0.856) (multiplicity 1)
Ti (0.497, 0.030, 0.553) (multiplicity 1)
Ti (0.513, 0.038, 0.153) (multiplicity 1)
Ti (0.517, 0.014, 0.354) (multiplicity 1)
Ti (0.520, 0.011, 0.955) (multiplicity 1)
O (0.083, 0.531, 0.005) (multiplicity 1)
O (0.086, 0.528, 0.204) (multiplicity 1)
O (0.087, 0.526, 0.604) (multiplicity 1)
O (0.093, 0.536, 0.403) (multiplicity 1)
O (0.094, 0.537, 0.804) (multiplicity 1)
O (0.221, 0.807, 0.345) (multiplicity 1)
O (0.222, 0.801, 0.263) (multiplicity 1)
O (0.224, 0.805, 0.460) (multiplicity 1)
O (0.224, 0.805, 0.746) (multiplicity 1)
O (0.226, 0.806, 0.861) (multiplicity 1)
O (0.235, 0.791, 0.063) (multiplicity 1)
O (0.236, 0.789, 0.662) (multiplicity 1)
O (0.240, 0.785, 0.146) (multiplicity 1)
O (0.241, 0.789, 0.947) (multiplicity 1)
O (0.247, 0.784, 0.547) (multiplicity 1)
O (0.274, 0.286, 0.947) (multiplicity 1)
O (0.279, 0.289, 0.662) (multiplicity 1)
O (0.281, 0.282, 0.546) (multiplicity 1)
O (0.281, 0.291, 0.263) (multiplicity 1)
O (0.283, 0.298, 0.346) (multiplicity 1)
O (0.291, 0.294, 0.146) (multiplicity 1)
O (0.293, 0.306, 0.459) (multiplicity 1)
O (0.293, 0.307, 0.747) (multiplicity 1)
O (0.295, 0.303, 0.063) (multiplicity 1)
O (0.295, 0.308, 0.860) (multiplicity 1)
O (0.433, 0.040, 0.804) (multiplicity 1)
O (0.434, 0.028, 0.604) (multiplicity 1)
O (0.434, 0.029, 0.005) (multiplicity 1)
O (0.436, 0.031, 0.204) (multiplicity 1)
O (0.437, 0.038, 0.403) (multiplicity 1)
O (0.583, 0.002, 0.104) (multiplicity 1)
O (0.584, 0.010, 0.503) (multiplicity 1)
O (0.585, 0.011, 0.903) (multiplicity 1)
O (0.586, 0.009, 0.704) (multiplicity 1)
O (0.590, 0.005, 0.304) (multiplicity 1)
O (0.719, 0.736, 0.362) (multiplicity 1)
O (0.723, 0.737, 0.763) (multiplicity 1)
O (0.724, 0.737, 0.444) (multiplicity 1)
O (0.725, 0.734, 0.048) (multiplicity 1)
O (0.725, 0.735, 0.246) (multiplicity 1)
O (0.726, 0.740, 0.844) (multiplicity 1)
O (0.731, 0.739, 0.160) (multiplicity 1)
O (0.734, 0.744, 0.647) (multiplicity 1)
O (0.737, 0.757, 0.961) (multiplicity 1)
O (0.744, 0.752, 0.560) (multiplicity 1)
O (0.771, 0.255, 0.961) (multiplicity 1)
O (0.777, 0.250, 0.560) (multiplicity 1)
O (0.781, 0.243, 0.361) (multiplicity 1)
O (0.781, 0.245, 0.647) (multiplicity 1)
O (0.783, 0.240, 0.161) (multiplicity 1)
O (0.783, 0.249, 0.444) (multiplicity 1)
O (0.784, 0.248, 0.763) (multiplicity 1)
O (0.784, 0.250, 0.844) (multiplicity 1)
O (0.792, 0.234, 0.247) (multiplicity 1)
O (0.793, 0.235, 0.046) (multiplicity 1)
O (0.926, 0.502, 0.104) (multiplicity 1)
O (0.931, 0.502, 0.304) (multiplicity 1)
O (0.931, 0.507, 0.704) (multiplicity 1)
O (0.934, 0.511, 0.903) (multiplicity 1)
O (0.936, 0.507, 0.503) (multiplicity 1)

Summary:
Energy relative to the elements (eV/atom): -3.1548

=====

Question: Look up the energy relative to the elements of the second one.
Answer: -3.1548 eV/atom

=====

Question: Look up the energy relative to the elements of the first one.
Answer: -3.2027 eV/atom

=====

Question: Among the records above, which one has the lowest energy relative to the elements?
Answer: Na7Ca3Ta7Ti3O30